# 1
Density functional theory data (PBE) for SbPd3 after structural relaxation.

Cell and atoms, written as POSCAR:
```
SbPd3
1.0
5.753 0.000 0.000
-2.876 4.982 0.000
0.000 0.000 4.659
Sb Pd
2 6
Direct
0.333 0.667 0.250
0.667 0.333 0.750
0.167 0.334 0.750
0.167 0.833 0.750
0.334 0.167 0.250
0.666 0.833 0.750
0.833 0.167 0.250
0.833 0.666 0.250
```

energy: -5.285 eV per atom
DFT formation energy: -368.2 meV/atom


# 2
Density functional theory data (PBE) for Sb3Pd8 after structural relaxation.

Cell and atoms, written as POSCAR:
```
Sb3Pd8
1.0
3.901 2.253 15.014
-3.901 2.253 15.014
0.000 -4.505 15.014
Sb Pd
12 32
Direct
0.000 0.000 0.000
0.031 0.411 0.619
0.119 0.911 0.531
0.131 0.131 0.131
0.276 0.276 0.276
0.411 0.619 0.031
0.500 0.500 0.500
0.531 0.119 0.911
0.619 0.031 0.411
0.631 0.631 0.631
0.776 0.776 0.776
0.911 0.531 0.119
0.006 0.621 0.303
0.034 0.762 0.319
0.073 0.073 0.073
0.083 0.434 0.723
0.103 0.794 0.421
0.121 0.506 0.803
0.216 0.216 0.216
0.223 0.934 0.583
0.262 0.534 0.819
0.294 0.603 0.921
0.303 0.006 0.621
0.319 0.034 0.762
0.384 0.384 0.384
0.421 0.103 0.794
0.434 0.723 0.083
0.444 0.444 0.444
0.506 0.803 0.121
0.534 0.819 0.262
0.573 0.573 0.573
0.583 0.223 0.934
0.603 0.921 0.294
0.621 0.303 0.006
0.716 0.716 0.716
0.723 0.083 0.434
0.762 0.319 0.034
0.794 0.421 0.103
0.803 0.121 0.506
0.819 0.262 0.534
0.884 0.884 0.884
0.921 0.294 0.603
0.934 0.583 0.223
0.944 0.944 0.944
```

energy: -5.190 eV per atom
DFT formation energy: -297.2 meV/atom


# 3
Density functional theory data (PBE) for SbPd2 after structural relaxation.

Cell and atoms, written as POSCAR:
```
SbPd2
1.0
1.732 -8.880 0.000
1.732 8.880 0.000
0.000 0.000 7.035
Sb Pd
4 8
Direct
0.057 0.943 0.500
0.294 0.706 0.469
0.706 0.294 0.969
0.943 0.057 0.000
0.087 0.913 0.871
0.170 0.830 0.244
0.325 0.675 0.091
0.462 0.538 0.694
0.538 0.462 0.194
0.675 0.325 0.591
0.830 0.170 0.744
0.913 0.087 0.371
```

energy: -5.273 eV per atom
DFT formation energy: -443.7 meV/atom


# 4
Density functional theory data (PBE) for Sb3Pd8 after structural relaxation.

Cell and atoms, written as POSCAR:
```
Sb3Pd8
1.0
3.859 2.228 14.611
-3.859 2.228 14.611
0.000 -4.456 14.611
Sb Pd
12 32
Direct
0.000 0.000 0.000
0.067 0.750 0.433
0.156 0.156 0.156
0.250 0.567 0.933
0.344 0.344 0.344
0.433 0.067 0.750
0.500 0.500 0.500
0.567 0.933 0.250
0.656 0.656 0.656
0.750 0.433 0.067
0.844 0.844 0.844
0.933 0.250 0.567
0.011 0.292 0.644
0.062 0.062 0.062
0.118 0.371 0.856
0.129 0.382 0.644
0.144 0.792 0.511
0.144 0.882 0.629
0.208 0.489 0.856
0.218 0.218 0.218
0.282 0.282 0.282
0.292 0.644 0.011
0.356 0.871 0.618
0.356 0.989 0.708
0.371 0.856 0.118
0.382 0.644 0.129
0.438 0.438 0.438
0.489 0.856 0.208
0.511 0.144 0.792
0.562 0.562 0.562
0.618 0.356 0.871
0.629 0.144 0.882
0.644 0.011 0.292
0.644 0.129 0.382
0.708 0.356 0.989
0.718 0.718 0.718
0.782 0.782 0.782
0.792 0.511 0.144
0.856 0.118 0.371
0.856 0.208 0.489
0.871 0.618 0.356
0.882 0.629 0.144
0.938 0.938 0.938
0.989 0.708 0.356
```

energy: -5.345 eV per atom
DFT formation energy: -452.0 meV/atom


# 5
Density functional theory data (PBE) for SbPd after structural relaxation.

Cell and atoms, written as POSCAR:
```
SbPd
1.0
4.144 0.000 0.000
-2.072 3.589 0.000
0.000 0.000 5.682
Sb Pd
2 2
Direct
0.333 0.667 0.250
0.667 0.333 0.750
0.000 0.000 0.000
0.000 0.000 0.500
```

energy: -5.096 eV per atom
DFT formation energy: -441.6 meV/atom


# 6
Density functional theory data (PBE) for SbPd3 after structural relaxation.

Cell and atoms, written as POSCAR:
```
SbPd3
1.0
4.062 0.000 0.000
0.000 4.062 0.000
0.000 0.000 4.062
Sb Pd
1 3
Direct
0.000 0.000 0.000
0.000 0.500 0.500
0.500 0.000 0.500
0.500 0.500 0.000
```

energy: -5.285 eV per atom
DFT formation energy: -367.8 meV/atom


- What is the formula in the first record?
  SbPd3


Repeat the sixth record exactly.
Density functional theory data (PBE) for SbPd3 after structural relaxation.

Cell and atoms, written as POSCAR:
```
SbPd3
1.0
4.062 0.000 0.000
0.000 4.062 0.000
0.000 0.000 4.062
Sb Pd
1 3
Direct
0.000 0.000 0.000
0.000 0.500 0.500
0.500 0.000 0.500
0.500 0.500 0.000
```

energy: -5.285 eV per atom
DFT formation energy: -367.8 meV/atom


What did the first record say?
Density functional theory data (PBE) for SbPd3 after structural relaxation.

Cell and atoms, written as POSCAR:
```
SbPd3
1.0
5.753 0.000 0.000
-2.876 4.982 0.000
0.000 0.000 4.659
Sb Pd
2 6
Direct
0.333 0.667 0.250
0.667 0.333 0.750
0.167 0.334 0.750
0.167 0.833 0.750
0.334 0.167 0.250
0.666 0.833 0.750
0.833 0.167 0.250
0.833 0.666 0.250
```

energy: -5.285 eV per atom
DFT formation energy: -368.2 meV/atom